Run a
Te6MoW3S2, relaxed, DFT PBE; density = 6.01 g/cm³; space-group type = No. 156
1.0
3.457 0.000 0.000
-1.729 2.994 0.000
0.000 0.000 39.428
Te Mo W S
6 1 3 2
Direct
0.000 0.000 0.000 Te
0.000 0.000 0.094 Te
0.000 0.000 0.376 Te
0.000 0.000 0.470 Te
0.333 0.667 0.188 Te
0.333 0.667 0.282 Te
0.000 0.000 0.859 Mo
0.000 0.000 0.235 W
0.333 0.667 0.047 W
0.333 0.667 0.423 W
0.333 0.667 0.822 S
0.333 0.667 0.897 S

=====

Run b
Te6MoW3S2, relaxed, DFT PBE; density = 6.02 g/cm³; space-group type = No. 156
1.0
3.455 0.000 0.000
-1.728 2.992 0.000
0.000 0.000 39.441
Te Mo W S
6 1 3 2
Direct
0.000 0.000 0.000 Te
0.000 0.000 0.094 Te
0.000 0.000 0.376 Te
0.000 0.000 0.470 Te
0.333 0.667 0.188 Te
0.333 0.667 0.282 Te
0.333 0.667 0.047 Mo
0.000 0.000 0.235 W
0.000 0.000 0.859 W
0.333 0.667 0.423 W
0.333 0.667 0.821 S
0.333 0.667 0.897 S

=====

If we sort the structures by their calculated energies, the order from most to least stable is run b, run a.

=====

Run a
Te6MoW3S2, relaxed, DFT PBE; density = 6.01 g/cm³; space-group type = No. 156
1.0
3.463 0.000 0.000
-1.732 2.999 0.000
0.000 0.000 39.299
Te Mo W S
6 1 3 2
Direct
0.000 0.000 0.000 Te
0.000 0.000 0.094 Te
0.000 0.000 0.376 Te
0.000 0.000 0.470 Te
0.667 0.333 0.564 Te
0.667 0.333 0.658 Te
0.000 0.000 0.235 Mo
0.000 0.000 0.611 W
0.667 0.333 0.047 W
0.667 0.333 0.423 W
0.667 0.333 0.197 S
0.667 0.333 0.273 S

=====

Run b
Te6MoW3S2, relaxed, DFT PBE; density = 6.02 g/cm³; space-group type = No. 156
1.0
3.458 0.000 0.000
-1.729 2.994 0.000
0.000 0.000 39.341
Te Mo W S
6 1 3 2
Direct
0.000 0.000 0.000 Te
0.000 0.000 0.094 Te
0.000 0.000 0.375 Te
0.000 0.000 0.470 Te
0.333 0.667 0.812 Te
0.333 0.667 0.906 Te
0.333 0.667 0.047 Mo
0.000 0.000 0.235 W
0.000 0.000 0.859 W
0.333 0.667 0.423 W
0.333 0.667 0.197 S
0.333 0.667 0.273 S

=====

If we sort the structures by their calculated energies, the order from most to least stable is run b, run a.

=====

Run a
Te2Mo2WS4, relaxed, DFT PBE; density = 4.38 g/cm³; space-group type = No. 156
1.0
3.300 0.000 0.000
-1.650 2.858 0.000
0.000 0.000 30.548
Te Mo W S
2 2 1 4
Direct
0.000 0.000 0.000 Te
0.000 0.000 0.125 Te
0.667 0.333 0.063 Mo
0.667 0.333 0.600 Mo
0.000 0.000 0.831 W
0.000 0.000 0.550 S
0.000 0.000 0.650 S
0.667 0.333 0.781 S
0.667 0.333 0.882 S

=====

Run b
Te2Mo2WS4, relaxed, DFT PBE; density = 4.37 g/cm³; space-group type = No. 156
1.0
3.305 0.000 0.000
-1.653 2.863 0.000
0.000 0.000 30.513
Te Mo W S
2 2 1 4
Direct
0.000 0.000 0.000 Te
0.000 0.000 0.126 Te
0.000 0.000 0.832 Mo
0.667 0.333 0.600 Mo
0.667 0.333 0.063 W
0.000 0.000 0.550 S
0.000 0.000 0.651 S
0.667 0.333 0.782 S
0.667 0.333 0.882 S

=====

If we sort the structures by their calculated energies, the order from most to least stable is run a, run b.